one.
The following is a DFT calculation (PBE-GGA) of crystalline MgTe4MoW2S2 at its relaxed geometry.

Structure (extended XYZ):
```
10
Lattice="3.409 0.000 0.000 -1.705 2.952 0.000 0.000 0.000 31.763" Properties=species:S:1:pos:R:3 pbc="T T T"
Mg 1.679 1.109 26.996
Te 1.705 0.984 1.805
Te 1.705 0.984 16.490
Te 1.705 0.984 5.544
Te 1.705 0.984 20.247
Mo 0.000 1.968 3.671
W 0.000 1.968 18.371
W 1.705 0.984 11.021
S 0.000 1.968 12.522
S 0.000 1.968 9.520
```

Total magnetization: 0.009 μB/cell

two.
The following is a DFT calculation (PBE-GGA) of crystalline MgTe4MoW2S2 at its relaxed geometry.

Structure (extended XYZ):
```
10
Lattice="3.409 0.000 0.000 -1.705 2.953 0.000 0.000 -0.001 38.092" Properties=species:S:1:pos:R:3 pbc="T T T"
Mg 1.705 2.953 9.010
Te 1.705 0.984 2.307
Te 1.705 0.984 20.144
Te 1.705 0.984 6.059
Te 1.705 0.984 23.899
Mo 0.000 1.969 4.174
W 0.000 1.968 22.021
W 1.705 0.984 13.572
S 0.000 1.968 15.068
S 0.000 1.968 12.066
```

Total magnetization: 0.004 μB/cell

Which is most stable, and by how much? two, by 2.8 kJ/mol of atoms.

one.
The following is a DFT calculation (PBE-GGA) of crystalline MgTe4MoW2S2 at its relaxed geometry.

Structure (extended XYZ):
```
10
Lattice="3.415 -0.002 -0.061 -1.709 2.956 0.060 -0.558 0.321 38.181" Properties=species:S:1:pos:R:3 pbc="T T T"
Mg 1.570 1.063 9.161
Te 1.623 1.032 2.326
Te 1.357 1.185 20.183
Te 1.687 0.995 6.061
Te 1.420 1.149 23.933
Mo -0.053 2.000 4.233
W -0.319 2.153 22.098
W 1.443 1.136 13.594
S -0.237 2.106 15.127
S -0.291 2.137 12.132
```

Total magnetization: 0.006 μB/cell

two.
The following is a DFT calculation (PBE-GGA) of crystalline MgTe4MoW2S2 at its relaxed geometry.

Structure (extended XYZ):
```
10
Lattice="3.412 0.000 0.000 -1.706 2.954 -0.001 0.000 -0.012 38.912" Properties=species:S:1:pos:R:3 pbc="T T T"
Mg 1.706 2.948 17.798
Te 1.706 0.983 2.642
Te 1.706 0.976 20.856
Te 1.706 0.985 6.372
Te 1.706 0.978 24.631
Mo 0.000 1.968 4.507
W 0.000 1.961 22.752
W 1.706 0.981 13.126
S 0.000 1.965 14.629
S 0.000 1.965 11.628
```

Total magnetization: 0.023 μB/cell

Which is most stable, and by how much? one, by 0.7 kJ/mol of atoms.

one.
The following is a DFT calculation (PBE-GGA) of crystalline MgMoW2S6 at its relaxed geometry.

Structure (extended XYZ):
```
10
Lattice="-2.161 -2.155 -0.930 1.008 0.044 3.027 -21.404 18.505 6.855" Properties=species:S:1:pos:R:3 pbc="T T T"
Mg -17.158 15.681 8.775
Mo -2.523 1.451 2.500
W -12.428 10.014 5.672
W -8.532 5.000 2.768
S -8.631 6.731 4.456
S -2.432 -0.274 0.813
S -12.329 8.282 3.983
S -4.728 1.711 1.549
S -14.639 10.279 4.723
S -6.321 4.734 3.716
```

Total magnetization: 0.009 μB/cell

two.
The following is a DFT calculation (PBE-GGA) of crystalline MgMoW2S6 at its relaxed geometry.

Structure (extended XYZ):
```
10
Lattice="3.189 0.000 0.000 -1.594 2.761 0.000 0.000 -0.001 36.802" Properties=species:S:1:pos:R:3 pbc="T T T"
Mg 1.594 2.761 17.048
Mo 0.000 1.841 4.253
W 0.000 1.840 21.615
W 1.594 0.920 12.427
S 0.000 1.841 14.010
S 1.594 0.920 2.685
S 1.594 0.920 20.031
S 1.594 0.920 5.820
S 1.594 0.920 23.185
S 0.000 1.841 10.857
```

Total magnetization: 0.001 μB/cell

three.
The following is a DFT calculation (PBE-GGA) of crystalline MgMoW2S6 at its relaxed geometry.

Structure (extended XYZ):
```
10
Lattice="-1.786 0.537 2.589 -0.250 -2.769 -1.564 26.385 -14.348 21.178" Properties=species:S:1:pos:R:3 pbc="T T T"
Mg 3.880 -5.450 5.773
Mo 2.086 -3.216 2.106
W 14.504 -9.969 12.073
W 8.142 -5.686 8.762
S 9.781 -7.401 8.283
S 0.457 -1.507 2.594
S 12.864 -8.253 12.552
S 2.711 -2.732 4.403
S 15.120 -9.480 14.363
S 7.520 -6.171 6.468
```

Total magnetization: 0.000 μB/cell

Which is most stable, and by how much? three, by 0.6 kJ/mol of atoms.

one.
The following is a DFT calculation (PBE-GGA) of crystalline Mg14SbMo at its relaxed geometry.

Structure (extended XYZ):
```
16
Lattice="6.282 0.000 0.000 -3.141 5.440 0.000 0.000 0.000 10.165" Properties=species:S:1:pos:R:3 pbc="T T T"
Mg -1.575 4.531 1.271
Mg -1.572 4.533 6.353
Mg 3.141 1.819 1.271
Mg 3.141 1.815 6.353
Mg 1.575 4.531 1.271
Mg 1.572 4.533 6.353
Mg 1.525 0.933 3.696
Mg 1.525 0.933 9.010
Mg 0.000 3.575 3.696
Mg 0.000 3.575 9.010
Mg 4.757 0.933 3.696
Mg 4.757 0.933 9.010
Mg 3.141 3.627 3.794
Mg 3.141 3.627 8.913
Sb 0.000 1.813 6.353
Mo 0.000 1.813 1.271
```

Total magnetization: 0.267 μB/cell

two.
The following is a DFT calculation (PBE-GGA) of crystalline Mg14SbMo at its relaxed geometry.

Structure (extended XYZ):
```
16
Lattice="-3.399 -5.099 1.463 4.845 -0.509 -3.944 6.222 -1.885 7.886" Properties=species:S:1:pos:R:3 pbc="T T T"
Mg 4.938 -2.195 3.858
Mg 7.359 -2.455 1.886
Mg 0.120 -3.813 0.650
Mg 3.233 -4.744 4.594
Mg 2.552 -4.069 -1.331
Mg 5.665 -5.000 2.614
Mg 2.013 -2.470 2.721
Mg 5.187 -3.432 6.744
Mg 4.367 -2.718 0.805
Mg 7.541 -3.679 4.828
Mg 0.264 -5.081 3.470
Mg 3.444 -6.045 7.501
Mg 2.754 -5.293 1.575
Mg 5.821 -6.223 5.464
Sb 4.257 -1.465 -2.053
Mo 1.825 -1.261 -0.086
```

Total magnetization: 2.244 μB/cell

Which is most stable, and by how much? one, by 1.6 kJ/mol of atoms.

one.
The following is a DFT calculation (PBE-GGA) of crystalline Mg6SiMo at its relaxed geometry.

Structure (extended XYZ):
```
16
Lattice="-4.911 0.945 0.496 -1.173 -5.394 -1.339 0.531 -2.689 10.364" Properties=species:S:1:pos:R:3 pbc="T T T"
Mg -0.070 -2.488 4.041
Mg -0.655 -5.177 3.373
Mg -3.283 -3.753 0.103
Mg -2.714 -1.137 0.753
Mg -2.283 -0.399 3.608
Mg -2.871 -3.093 2.925
Mg -0.392 -6.530 8.553
Mg 0.197 -3.824 9.225
Mg -2.431 -2.401 5.955
Mg -3.035 -5.178 5.266
Mg -2.605 -4.441 8.120
Mg -2.019 -1.740 8.777
Si 0.090 -0.457 1.761
Si -0.231 -4.498 6.273
Mo -0.494 -3.166 1.139
Mo 0.358 -1.814 6.991
```

Total magnetization: 0.016 μB/cell

two.
The following is a DFT calculation (PBE-GGA) of crystalline Mg6SiMo at its relaxed geometry.

Structure (extended XYZ):
```
16
Lattice="4.779 0.000 0.000 0.000 6.121 0.000 0.000 0.000 10.487" Properties=species:S:1:pos:R:3 pbc="T T T"
Mg 0.000 1.592 0.919
Mg 0.000 4.529 0.919
Mg 0.000 3.061 8.742
Mg 2.390 1.505 9.621
Mg 2.390 4.617 9.621
Mg 2.390 3.061 6.991
Mg 0.000 4.653 6.162
Mg 0.000 1.469 6.162
Mg 0.000 0.000 3.499
Mg 2.390 4.565 4.378
Mg 2.390 1.556 4.378
Mg 2.390 0.000 1.748
Si 0.000 3.061 3.259
Si 0.000 0.000 8.502
Mo 2.390 3.061 1.875
Mo 2.390 0.000 7.119
```

Total magnetization: 0.004 μB/cell

Which is most stable, and by how much? two, by 3.0 kJ/mol of atoms.

one.
The following is a DFT calculation (PBE-GGA) of crystalline Mg6SnMo at its relaxed geometry.

Structure (extended XYZ):
```
16
Lattice="4.956 0.000 0.000 0.000 6.262 0.000 0.000 0.000 10.654" Properties=species:S:1:pos:R:3 pbc="T T T"
Mg 0.000 1.635 0.916
Mg 0.000 4.627 0.916
Mg 0.000 3.131 8.883
Mg 2.478 1.595 9.789
Mg 2.478 4.666 9.789
Mg 2.478 3.131 7.093
Mg 0.000 4.765 6.243
Mg 0.000 1.496 6.243
Mg 0.000 0.000 3.556
Mg 2.478 4.726 4.462
Mg 2.478 1.536 4.462
Mg 2.478 0.000 1.766
Sn 0.000 3.131 3.461
Sn 0.000 0.000 8.788
Mo 2.478 3.131 1.770
Mo 2.478 0.000 7.097
```

Total magnetization: 0.012 μB/cell

two.
The following is a DFT calculation (PBE-GGA) of crystalline Mg6SnMo at its relaxed geometry.

Structure (extended XYZ):
```
16
Lattice="-0.629 -3.078 -3.990 -0.881 -4.614 3.698 -10.650 2.088 0.069" Properties=species:S:1:pos:R:3 pbc="T T T"
Mg -4.984 -1.827 -1.036
Mg -5.422 -4.120 0.802
Mg -1.550 -3.220 2.728
Mg -1.134 -1.041 0.982
Mg -3.568 0.700 0.023
Mg -3.893 -1.630 1.871
Mg -10.750 -3.090 0.847
Mg -10.307 -0.769 -1.013
Mg -6.435 0.131 0.914
Mg -6.899 -2.304 2.865
Mg -9.333 -0.563 1.907
Mg -8.778 1.721 0.057
Sn -2.105 -1.188 -1.984
Sn -7.870 -2.451 -0.100
Mo -2.546 -3.495 -0.134
Mo -7.431 -0.144 -1.949
```

Total magnetization: 1.135 μB/cell

Which is most stable, and by how much? one, by 1.1 kJ/mol of atoms.

one.
The following is a DFT calculation (PBE-GGA) of crystalline SrMg14Mo at its relaxed geometry.

Structure (extended XYZ):
```
16
Lattice="-3.468 1.655 -5.254 5.246 -3.802 -0.629 -5.853 -8.284 1.254" Properties=species:S:1:pos:R:3 pbc="T T T"
Sr 0.439 -2.027 -0.928
Mg 3.052 -3.931 -1.309
Mg 0.140 -8.069 -0.587
Mg -1.337 -1.164 -3.517
Mg -4.203 -5.357 -2.945
Mg 1.380 -3.132 -3.842
Mg -1.621 -7.228 -3.255
Mg -2.583 -3.367 -1.353
Mg -5.270 -7.169 -0.778
Mg 0.016 -5.250 -1.665
Mg -2.670 -9.053 -1.089
Mg -4.333 -2.531 -4.004
Mg -7.020 -6.334 -3.428
Mg -1.540 -4.194 -4.337
Mg -4.562 -8.472 -3.690
Mo -2.487 -6.169 -0.301
```

Total magnetization: 1.849 μB/cell

two.
The following is a DFT calculation (PBE-GGA) of crystalline SrMg14Mo at its relaxed geometry.

Structure (extended XYZ):
```
16
Lattice="-3.825 -3.809 3.623 2.325 -2.189 -5.633 8.313 -3.712 4.874" Properties=species:S:1:pos:R:3 pbc="T T T"
Sr 1.195 -1.794 -0.670
Mg 5.325 -3.699 1.775
Mg 6.503 -4.766 -1.046
Mg -0.726 -3.671 1.177
Mg 3.437 -5.592 3.555
Mg 0.467 -4.795 -1.714
Mg 4.576 -6.665 0.794
Mg 2.221 -3.011 2.190
Mg 6.328 -4.844 4.597
Mg 3.448 -4.166 -0.782
Mg 7.554 -5.999 1.625
Mg 0.474 -4.945 3.978
Mg 4.366 -6.683 6.260
Mg 1.314 -6.031 1.026
Mg 5.733 -8.004 3.616
Mo 2.289 -3.015 -3.466
```

Total magnetization: 2.108 μB/cell

Which is most stable, and by how much? two, by 0.6 kJ/mol of atoms.

one.
The following is a DFT calculation (PBE-GGA) of crystalline Mg6TiMo at its relaxed geometry.

Structure (extended XYZ):
```
16
Lattice="-2.699 0.441 -3.913 3.214 -4.312 -2.703 -6.968 -7.664 3.942" Properties=species:S:1:pos:R:3 pbc="T T T"
Mg 0.307 -1.694 -0.403
Mg 1.857 -3.774 -1.706
Mg -2.296 -2.525 1.299
Mg -1.916 -6.234 -2.295
Mg -3.479 -4.136 -0.979
Mg -2.551 -1.101 -1.277
Mg -1.570 -7.682 0.216
Mg -3.234 -5.449 1.616
Mg -4.173 -8.513 1.918
Mg -7.006 -7.910 1.028
Mg -5.356 -10.124 -0.360
Mg -4.428 -7.089 -0.658
Ti -0.483 -4.454 -0.170
Ti -5.573 -6.130 3.153
Mo -1.132 -3.463 -2.523
Mo -6.222 -5.139 0.800
```

Total magnetization: 0.007 μB/cell

two.
The following is a DFT calculation (PBE-GGA) of crystalline Mg6TiMo at its relaxed geometry.

Structure (extended XYZ):
```
16
Lattice="4.977 0.000 0.000 0.000 5.782 0.000 0.000 0.000 11.088" Properties=species:S:1:pos:R:3 pbc="T T T"
Mg 2.488 1.442 4.693
Mg 2.488 4.340 4.693
Mg 0.000 4.297 0.953
Mg 0.000 1.485 0.953
Mg 0.000 0.000 3.560
Mg 0.000 2.891 3.507
Mg 2.488 4.333 10.237
Mg 2.488 1.449 10.237
Mg 0.000 1.406 6.498
Mg 0.000 4.376 6.498
Mg 0.000 2.891 9.104
Mg 0.000 0.000 9.051
Ti 2.488 0.000 1.893
Ti 2.488 2.891 7.438
Mo 2.488 2.891 1.924
Mo 2.488 0.000 7.468
```

Total magnetization: 0.001 μB/cell

Which is most stable, and by how much? one, by 7.1 kJ/mol of atoms.

one.
The following is a DFT calculation (PBE-GGA) of crystalline Mg6MoW at its relaxed geometry.

Structure (extended XYZ):
```
16
Lattice="-4.659 -1.200 -0.955 1.758 -4.823 -2.518 -0.613 -5.189 9.511" Properties=species:S:1:pos:R:3 pbc="T T T"
Mg -2.149 -4.002 2.917
Mg -1.270 -6.412 1.659
Mg 1.265 -4.065 -1.064
Mg 0.387 -1.656 0.193
Mg -0.194 -1.644 3.014
Mg 0.685 -4.055 1.754
Mg -1.577 -9.007 6.414
Mg -2.456 -6.596 7.673
Mg 0.079 -4.248 4.950
Mg 0.959 -6.662 3.690
Mg 0.378 -6.650 6.510
Mg -0.501 -4.239 7.769
Mo -2.436 -1.502 1.175
Mo -1.863 -6.507 4.672
W -1.557 -3.909 -0.090
W -2.742 -4.093 5.924
```

Total magnetization: 0.001 μB/cell

two.
The following is a DFT calculation (PBE-GGA) of crystalline Mg6MoW at its relaxed geometry.

Structure (extended XYZ):
```
16
Lattice="4.743 0.000 0.000 0.000 5.956 0.000 0.000 0.000 10.880" Properties=species:S:1:pos:R:3 pbc="T T T"
Mg 0.000 4.412 0.831
Mg 0.000 1.544 0.831
Mg 0.000 0.000 3.594
Mg 2.371 1.539 4.617
Mg 2.371 4.417 4.617
Mg 2.371 0.000 1.844
Mg 0.000 1.434 6.271
Mg 0.000 4.523 6.271
Mg 0.000 2.978 9.034
Mg 2.371 4.517 10.057
Mg 2.371 1.439 10.057
Mg 2.371 2.978 7.284
Mo 0.000 2.978 3.368
Mo 0.000 0.000 8.808
W 2.371 2.978 2.057
W 2.371 0.000 7.497
```

Total magnetization: 0.007 μB/cell

Which is most stable, and by how much? two, by 10.5 kJ/mol of atoms.